Na3Zr2Zn2P3S3O24 | PBE | optimized geometry

Cell lengths 8.893, 8.880, 22.989 Å; angles 90.11, 89.83, 119.89 degrees
Atoms (fractional coordinates):
O  0.218  0.032  0.309
O  0.838  0.311  0.243
O  0.356  0.874  0.865
O  0.844  0.548  0.028
O  0.475  0.161  0.243
O  0.180  0.971  0.198
O  0.877  0.360  0.635
O  0.311  0.837  0.258
O  0.687  0.527  0.244
O  0.193  0.174  0.089
O  0.820  0.788  0.305
O  0.366  0.505  0.077
O  0.789  0.818  0.194
O  0.822  0.801  0.589
O  0.492  0.137  0.921
O  0.528  0.690  0.257
O  0.489  0.131  0.634
O  0.491  0.361  0.134
O  0.513  0.642  0.866
O  0.473  0.313  0.743
O  0.975  0.176  0.589
O  0.514  0.875  0.365
O  0.161  0.472  0.257
O  0.310  0.853  0.970
O  0.865  0.507  0.423
O  0.161  0.689  0.757
O  0.865  0.356  0.922
O  0.968  0.182  0.306
O  0.309  0.458  0.470
O  0.124  0.641  0.365
O  0.802  0.824  0.911
O  0.027  0.200  0.911
O  0.548  0.693  0.971
O  0.179  0.982  0.912
O  0.822  0.018  0.089
O  0.697  0.549  0.530
O  0.802  0.978  0.411
O  0.356  0.856  0.577
O  0.491  0.356  0.421
O  0.135  0.490  0.577
O  0.528  0.839  0.757
O  0.218  0.186  0.809
O  0.638  0.132  0.422
O  0.150  0.453  0.969
O  0.819  0.034  0.806
O  0.311  0.474  0.758
O  0.967  0.785  0.806
O  0.970  0.805  0.090
O  0.794  0.972  0.696
O  0.143  0.647  0.078
O  0.356  0.483  0.365
O  0.451  0.148  0.525
O  0.028  0.821  0.696
O  0.853  0.306  0.530
O  0.150  0.695  0.469
O  0.177  0.206  0.698
O  0.637  0.505  0.921
O  0.689  0.161  0.743
O  0.449  0.301  0.024
O  0.512  0.864  0.077
O  0.695  0.147  0.030
O  0.179  0.197  0.412
O  0.873  0.512  0.136
O  0.838  0.525  0.741
O  0.643  0.518  0.635
O  0.027  0.826  0.411
O  0.508  0.641  0.577
O  0.546  0.852  0.470
O  0.193  0.022  0.589
O  0.028  0.207  0.196
O  0.641  0.122  0.135
O  0.125  0.483  0.865
Na  0.003  0.998  0.998
Na  0.676  0.334  0.834
Na  0.321  0.661  0.163
Na  0.333  0.298  0.917
Na  0.996  0.000  0.498
Na  0.334  0.672  0.663
Na  0.662  0.690  0.081
Na  0.675  0.340  0.334
Na  0.332  0.034  0.417
P  0.376  0.037  0.580
P  0.293  0.002  0.254
P  0.997  0.288  0.252
P  0.714  0.001  0.751
P  0.376  0.336  0.080
P  0.962  0.624  0.081
P  0.713  0.713  0.251
P  0.996  0.708  0.752
P  0.289  0.289  0.753
Zr  0.012  0.005  0.149
Zr  0.660  0.325  0.687
Zr  0.006  0.000  0.648
Zr  0.670  0.341  0.187
Zr  0.333  0.670  0.811
Zr  0.332  0.663  0.312
Zn  0.335  0.674  0.519
Zn  0.994  0.000  0.344
Zn  0.316  0.658  0.019
Zn  0.993  0.995  0.844
Zn  0.665  0.333  0.486
Zn  0.672  0.339  0.987
S  0.629  0.670  0.919
S  0.629  0.959  0.418
S  0.038  0.664  0.418
S  0.961  0.337  0.581
S  0.663  0.624  0.582
S  0.334  0.960  0.919
S  0.333  0.375  0.419
S  0.664  0.040  0.082
S  0.038  0.372  0.918

Summary:
Total DFT energy (no corrections) (eV/atom): -6.71
Magnetic moment (μB/f.u.): 0.000
Energy relative to the elements (eV/atom): -2.533
Space group: P1

=====

Na5Zr2Zn2P5SO24 | PBE | optimized geometry

Cell lengths 9.038, 9.045, 22.542 Å; angles 90.27, 89.96, 120.04 degrees
Atoms (fractional coordinates):
O  0.849  0.315  0.533
O  0.306  0.843  0.252
O  0.479  0.324  0.743
O  0.525  0.841  0.465
O  0.467  0.308  0.034
O  0.641  0.509  0.921
O  0.493  0.360  0.422
O  0.315  0.863  0.976
O  0.792  0.969  0.696
O  0.363  0.472  0.360
O  0.848  0.535  0.032
O  0.131  0.479  0.864
O  0.830  0.029  0.089
O  0.470  0.154  0.533
O  0.493  0.144  0.922
O  0.529  0.885  0.354
O  0.220  0.184  0.805
O  0.018  0.830  0.414
O  0.681  0.519  0.245
O  0.310  0.475  0.756
O  0.976  0.180  0.305
O  0.968  0.790  0.806
O  0.206  0.021  0.303
O  0.636  0.115  0.144
O  0.892  0.529  0.144
O  0.466  0.153  0.247
O  0.168  0.980  0.913
O  0.802  0.820  0.200
O  0.680  0.154  0.745
O  0.828  0.807  0.586
O  0.149  0.679  0.466
O  0.029  0.822  0.696
O  0.317  0.462  0.467
O  0.820  0.029  0.806
O  0.844  0.525  0.744
O  0.165  0.473  0.255
O  0.193  0.023  0.587
O  0.647  0.141  0.422
O  0.146  0.652  0.078
O  0.807  0.775  0.311
O  0.527  0.647  0.862
O  0.506  0.649  0.575
O  0.193  0.166  0.089
O  0.011  0.186  0.913
O  0.470  0.114  0.644
O  0.838  0.312  0.247
O  0.981  0.172  0.588
O  0.641  0.527  0.641
O  0.852  0.510  0.421
O  0.165  0.693  0.757
O  0.351  0.860  0.577
O  0.804  0.974  0.414
O  0.183  0.198  0.413
O  0.986  0.811  0.089
O  0.801  0.818  0.913
O  0.684  0.535  0.528
O  0.191  0.984  0.196
O  0.144  0.492  0.577
O  0.342  0.487  0.079
O  0.139  0.450  0.976
O  0.352  0.871  0.864
O  0.690  0.160  0.033
O  0.525  0.689  0.254
O  0.858  0.356  0.922
O  0.527  0.833  0.757
O  0.179  0.209  0.696
O  0.023  0.209  0.194
O  0.505  0.860  0.077
O  0.108  0.641  0.354
O  0.469  0.356  0.146
O  0.891  0.360  0.645
O  0.542  0.685  0.970
S  0.292  0.000  0.251
S  0.332  0.369  0.415
S  0.630  0.670  0.918
Na  0.667  0.328  0.831
Na  0.709  0.678  0.414
Na  0.373  0.017  0.746
Na  0.335  0.665  0.663
Na  0.635  0.000  0.253
Na  0.040  0.347  0.074
Na  0.681  0.327  0.331
Na  0.349  0.663  0.160
Na  0.985  0.355  0.746
Na  0.303  0.962  0.073
Na  0.994  0.621  0.253
Na  0.372  0.375  0.246
Na  0.008  0.007  0.496
Na  0.642  0.629  0.745
Na  0.998  0.997  0.985
Zr  0.667  0.333  0.980
Zr  0.989  0.997  0.147
Zr  0.328  0.667  0.819
Zr  0.330  0.673  0.519
Zr  0.672  0.328  0.483
Zr  0.999  0.998  0.646
P  0.000  0.295  0.252
P  0.665  0.627  0.584
P  0.036  0.364  0.920
P  0.628  0.961  0.412
P  0.701  0.698  0.254
P  0.997  0.707  0.752
P  0.709  0.001  0.753
P  0.964  0.334  0.587
P  0.966  0.628  0.086
P  0.374  0.338  0.087
P  0.037  0.671  0.413
P  0.326  0.963  0.920
P  0.660  0.037  0.086
P  0.297  0.294  0.751
P  0.373  0.041  0.587
Zn  0.011  0.011  0.850
Zn  0.669  0.336  0.678
Zn  0.987  0.997  0.350
Zn  0.672  0.341  0.177
Zn  0.331  0.666  0.014
Zn  0.327  0.666  0.320

Summary:
Total DFT energy (no corrections) (eV/atom): -6.79
Magnetic moment (μB/f.u.): 0.000
Energy relative to the elements (eV/atom): -2.691
Space group: P1

=====

Na3ZrZn3PS5O24 | PBE | optimized geometry

Cell lengths 8.845, 8.819, 22.782 Å; angles 90.14, 90.26, 120.06 degrees
Atoms (fractional coordinates):
O  0.644  0.524  0.641
O  0.639  0.120  0.137
O  0.306  0.454  0.466
O  0.493  0.143  0.923
O  0.811  0.024  0.803
O  0.845  0.317  0.245
O  0.805  0.823  0.911
O  0.828  0.025  0.089
O  0.316  0.843  0.255
O  0.463  0.143  0.531
O  0.880  0.529  0.139
O  0.650  0.140  0.422
O  0.022  0.802  0.693
O  0.686  0.146  0.032
O  0.472  0.312  0.745
O  0.843  0.525  0.746
O  0.678  0.520  0.246
O  0.641  0.508  0.923
O  0.356  0.469  0.359
O  0.031  0.216  0.197
O  0.488  0.349  0.421
O  0.020  0.826  0.412
O  0.208  0.027  0.299
O  0.779  0.974  0.696
O  0.857  0.541  0.033
O  0.880  0.358  0.637
O  0.134  0.498  0.577
O  0.862  0.508  0.422
O  0.477  0.116  0.637
O  0.472  0.163  0.245
O  0.342  0.856  0.578
O  0.688  0.535  0.531
O  0.852  0.311  0.531
O  0.806  0.784  0.303
O  0.977  0.191  0.304
O  0.507  0.862  0.079
O  0.527  0.885  0.362
O  0.316  0.472  0.754
O  0.008  0.180  0.910
O  0.841  0.811  0.587
O  0.980  0.809  0.088
O  0.505  0.653  0.578
O  0.173  0.189  0.410
O  0.146  0.443  0.975
O  0.214  0.191  0.802
O  0.134  0.483  0.864
O  0.521  0.678  0.255
O  0.549  0.860  0.469
O  0.354  0.492  0.079
O  0.164  0.473  0.256
O  0.190  0.212  0.695
O  0.862  0.361  0.922
O  0.982  0.177  0.587
O  0.197  0.025  0.586
O  0.528  0.843  0.756
O  0.469  0.315  0.036
O  0.141  0.654  0.082
O  0.552  0.695  0.972
O  0.470  0.355  0.142
O  0.122  0.642  0.365
O  0.518  0.644  0.865
O  0.808  0.983  0.411
O  0.158  0.688  0.755
O  0.309  0.865  0.979
O  0.197  0.977  0.192
O  0.162  0.975  0.912
O  0.685  0.160  0.745
O  0.140  0.689  0.473
O  0.780  0.802  0.196
O  0.979  0.795  0.800
O  0.353  0.863  0.868
O  0.199  0.170  0.087
Na  0.997  0.011  0.991
Na  0.684  0.330  0.328
Na  0.666  0.326  0.824
Na  0.299  0.965  0.080
Na  0.989  0.005  0.501
Na  0.360  0.663  0.662
Na  0.363  0.363  0.251
Na  0.030  0.700  0.586
Na  0.333  0.666  0.167
P  0.667  0.634  0.587
P  0.322  0.957  0.921
P  0.043  0.365  0.918
Zn  0.987  0.995  0.154
Zn  0.994  0.995  0.348
Zn  0.333  0.677  0.319
Zn  0.356  0.666  0.516
Zn  0.985  0.997  0.652
Zn  0.679  0.337  0.183
Zn  0.325  0.660  0.008
Zn  0.658  0.338  0.683
Zn  0.013  0.013  0.851
S  0.701  0.702  0.250
S  0.963  0.333  0.585
S  0.964  0.632  0.086
S  0.044  0.672  0.418
S  0.631  0.960  0.416
S  0.295  0.999  0.248
S  0.294  0.289  0.749
S  0.372  0.337  0.087
S  0.326  0.367  0.414
S  0.370  0.036  0.585
S  0.001  0.296  0.251
S  0.709  0.006  0.750
S  0.668  0.036  0.086
S  0.994  0.705  0.749
S  0.630  0.673  0.918
Zr  0.327  0.668  0.815
Zr  0.665  0.338  0.482
Zr  0.671  0.332  0.978

Summary:
Total DFT energy (no corrections) (eV/atom): -6.11
Magnetic moment (μB/f.u.): 0.000
Energy relative to the elements (eV/atom): -2.198
Space group: P1

=====

NaZrZnPS2O12 | PBE | optimized geometry

Cell lengths 8.845, 8.827, 23.076 Å; angles 90.20, 90.00, 120.07 degrees
Atoms (fractional coordinates):
O  0.693  0.534  0.245
O  0.512  0.864  0.078
O  0.187  0.209  0.696
O  0.127  0.481  0.863
O  0.642  0.123  0.135
O  0.527  0.681  0.256
O  0.309  0.468  0.756
O  0.030  0.814  0.697
O  0.789  0.974  0.694
O  0.519  0.638  0.864
O  0.843  0.310  0.245
O  0.539  0.688  0.969
O  0.159  0.468  0.256
O  0.819  0.022  0.804
O  0.650  0.151  0.425
O  0.979  0.792  0.802
O  0.855  0.305  0.530
O  0.362  0.496  0.078
O  0.310  0.459  0.468
O  0.193  0.180  0.089
O  0.520  0.883  0.362
O  0.203  0.022  0.304
O  0.134  0.496  0.578
O  0.313  0.833  0.255
O  0.865  0.512  0.136
O  0.799  0.826  0.912
O  0.354  0.481  0.363
O  0.834  0.810  0.587
O  0.520  0.833  0.755
O  0.136  0.640  0.077
O  0.149  0.459  0.968
O  0.689  0.165  0.744
O  0.195  0.023  0.591
O  0.828  0.023  0.091
O  0.813  0.792  0.302
O  0.026  0.201  0.911
O  0.987  0.180  0.589
O  0.022  0.209  0.196
O  0.148  0.688  0.469
O  0.490  0.356  0.421
O  0.540  0.850  0.470
O  0.841  0.534  0.745
O  0.310  0.850  0.970
O  0.976  0.184  0.302
O  0.784  0.814  0.197
O  0.208  0.184  0.802
O  0.501  0.151  0.925
O  0.475  0.165  0.244
O  0.810  0.981  0.410
O  0.647  0.512  0.636
O  0.647  0.510  0.922
O  0.481  0.123  0.635
O  0.480  0.356  0.135
O  0.450  0.143  0.530
O  0.866  0.356  0.921
O  0.976  0.810  0.087
O  0.875  0.356  0.635
O  0.155  0.681  0.756
O  0.171  0.981  0.910
O  0.466  0.310  0.745
O  0.693  0.143  0.030
O  0.119  0.638  0.364
O  0.845  0.536  0.027
O  0.363  0.883  0.862
O  0.504  0.640  0.577
O  0.175  0.201  0.411
O  0.863  0.510  0.422
O  0.351  0.864  0.578
O  0.027  0.826  0.412
O  0.185  0.974  0.194
O  0.691  0.536  0.527
O  0.450  0.305  0.030
Zr  0.998  0.001  0.853
Zr  0.324  0.673  0.020
Zr  0.667  0.333  0.187
Zr  0.666  0.333  0.687
Zr  0.349  0.673  0.520
Zr  0.003  0.001  0.353
P  0.342  0.970  0.915
P  0.290  0.993  0.248
P  0.676  0.626  0.581
P  0.703  0.993  0.748
P  0.627  0.970  0.415
P  0.950  0.626  0.081
Na  0.004  0.990  0.007
Na  0.986  0.990  0.507
Na  0.347  0.673  0.674
Na  0.326  0.673  0.174
Na  0.659  0.318  0.340
Na  0.659  0.318  0.840
Zn  0.669  0.333  0.483
Zn  0.007  0.986  0.149
Zn  0.350  0.690  0.817
Zn  0.978  0.986  0.649
Zn  0.340  0.690  0.317
Zn  0.664  0.333  0.983
S  0.007  0.710  0.748
S  0.368  0.043  0.582
S  0.287  0.294  0.748
S  0.960  0.330  0.582
S  0.039  0.660  0.416
S  0.370  0.330  0.082
S  0.621  0.660  0.916
S  0.703  0.710  0.248
S  0.007  0.294  0.248
S  0.041  0.380  0.914
S  0.675  0.043  0.082
S  0.339  0.380  0.414

Summary:
Total DFT energy (no corrections) (eV/atom): -6.65
Magnetic moment (μB/f.u.): 0.000
Energy relative to the elements (eV/atom): -2.430
Space group: Cc